Density functional theory data (PBE) for Na2P2PbO7 after structural relaxation.

E (MP2020) ... -6.843 eV per atom
VASP energy ... -6.44 eV per atom

a b c (Å): 5.594 7.023 9.537
angles (deg): 106.21 96.91 108.54
Space group P-1 (No. 2)
Asymmetric unit:
Na  0.099  0.287  0.492 x2
Na  0.345  0.635  0.272 x2
P  0.250  0.639  0.860 x2
P  0.474  0.860  0.659 x2
Pb  0.140  0.134  0.874 x2
O  0.013  0.695  0.821 x2
O  0.213  0.410  0.761 x2
O  0.241  0.025  0.338 x2
O  0.321  0.012  0.674 x2
O  0.333  0.657  0.525 x2
O  0.347  0.681  0.026 x2
O  0.490  0.798  0.814 x2